(1)
Hf2Cd after structural relaxation. Source: the Materials Project, functional GGA-PBE. Values from VASP.

Geometry as Quantum ESPRESSO input:
```
&SYSTEM
  ibrav = 0, nat = 3, ntyp = 2
/
ATOMIC_SPECIES
Hf 178.49 Hf.upf
Cd 112.41 Cd.upf
ATOMIC_POSITIONS crystal
Hf 0.6685 0.6685 0.0000
Hf 0.3315 0.3315 0.0000
Cd 0.0000 0.0000 0.0000
CELL_PARAMETERS angstrom
-3.1033 4.5487 3.5655
-5.9515 1.0253 2.5616
5.1790 -3.8684 -1.1169
```

Calculated values
Space group: No. 139
Formation energy from the elements (eV/atom): -0.0611
E (eV per atom): -7.007

***

(2)
HfMg14Cd after structural relaxation. Source: the Materials Project, functional GGA-PBE. Values from VASP.

Geometry as Quantum ESPRESSO input:
```
&SYSTEM
  ibrav = 0, nat = 16, ntyp = 3
/
ATOMIC_SPECIES
Hf 178.49 Hf.upf
Mg 24.30 Mg.upf
Cd 112.41 Cd.upf
ATOMIC_POSITIONS crystal
Hf 0.1667 0.3333 0.6250
Mg 0.1650 0.8325 0.1250
Mg 0.1714 0.8357 0.6250
Mg 0.6675 0.3350 0.1250
Mg 0.6643 0.3286 0.6250
Mg 0.6675 0.8325 0.1250
Mg 0.6643 0.8357 0.6250
Mg 0.3306 0.1694 0.3755
Mg 0.3306 0.1694 0.8745
Mg 0.3306 0.6612 0.3755
Mg 0.3306 0.6612 0.8745
Mg 0.8388 0.1694 0.3755
Mg 0.8388 0.1694 0.8745
Mg 0.8333 0.6667 0.3770
Mg 0.8333 0.6667 0.8730
Cd 0.1667 0.3333 0.1250
CELL_PARAMETERS angstrom
6.3962 0.0000 0.0000
-3.1981 5.5393 0.0000
0.0000 0.0000 10.1569
```

Calculated values
Space group: No. 187
Formation energy from the elements (eV/atom): 0.0233
E (eV per atom): -2.057
Total moment (Bohr magnetons per cell): 0.00
ΔE to the lowest computed polymorph (meV/atom): 0

***

(3)
HfMg6Cd after structural relaxation. Source: the Materials Project, functional GGA-PBE. Values from VASP.

Geometry as Quantum ESPRESSO input:
```
&SYSTEM
  ibrav = 0, nat = 16, ntyp = 3
/
ATOMIC_SPECIES
Hf 178.49 Hf.upf
Mg 24.30 Mg.upf
Cd 112.41 Cd.upf
ATOMIC_POSITIONS crystal
Hf 0.5000 0.5000 0.1694
Hf 0.5000 0.0000 0.6694
Mg 0.0000 0.7473 0.0837
Mg 0.0000 0.2527 0.0837
Mg 0.0000 0.0000 0.3326
Mg 0.5000 0.2516 0.4188
Mg 0.5000 0.7484 0.4188
Mg 0.5000 0.0000 0.1656
Mg 0.0000 0.2473 0.5837
Mg 0.0000 0.7527 0.5837
Mg 0.0000 0.5000 0.8326
Mg 0.5000 0.7516 0.9188
Mg 0.5000 0.2484 0.9188
Mg 0.5000 0.5000 0.6656
Cd 0.0000 0.5000 0.3275
Cd 0.0000 0.0000 0.8275
CELL_PARAMETERS angstrom
-3.9839 1.6920 -2.5684
2.2204 -2.7849 -5.2787
-5.5546 -9.2319 2.5341
```

Calculated values
Formation energy from the elements (eV/atom): 0.0659
E (eV per atom): -2.494
Total moment (Bohr magnetons per cell): 0.00

***

(4)
HfMg6Cd after structural relaxation. Source: the Materials Project, functional GGA-PBE. Values from VASP.

Geometry as Quantum ESPRESSO input:
```
&SYSTEM
  ibrav = 0, nat = 16, ntyp = 3
/
ATOMIC_SPECIES
Hf 178.49 Hf.upf
Mg 24.30 Mg.upf
Cd 112.41 Cd.upf
ATOMIC_POSITIONS crystal
Hf 0.5000 0.0000 0.6696
Hf 0.5000 0.5000 0.1696
Mg 0.5000 0.7523 0.9186
Mg 0.5000 0.2477 0.9186
Mg 0.0000 0.2445 0.5837
Mg 0.0000 0.7555 0.5837
Mg 0.0000 0.5000 0.8317
Mg 0.0000 0.0000 0.8289
Mg 0.5000 0.2523 0.4186
Mg 0.5000 0.7477 0.4186
Mg 0.0000 0.7445 0.0837
Mg 0.0000 0.2555 0.0837
Mg 0.0000 0.0000 0.3317
Mg 0.0000 0.5000 0.3289
Cd 0.5000 0.5000 0.6651
Cd 0.5000 0.0000 0.1651
CELL_PARAMETERS angstrom
-1.4679 -3.0206 3.7728
5.3789 -3.1690 -0.4443
4.7057 6.9506 7.3956
```

Calculated values
Formation energy from the elements (eV/atom): 0.0640
E (eV per atom): -2.496
Total moment (Bohr magnetons per cell): 0.00